Entry 1:
A plane-wave DFT calculation with r²SCAN was carried out for a relaxed structure of PuPt3.

a b c (Å): 5.8241 5.8241 4.8568
angles (deg): 90.00 90.00 120.00
With the nearest neighbours (Å) after each atom.
Fractional coordinates of all 8 atoms:
Pu  0.3333  0.6667  0.2500  12 Pt 2.91-2.98
Pu  0.6667  0.3333  0.7500  12 Pt 2.91-2.98
Pt  0.1624  0.3248  0.7500  8 Pt 2.84-2.99, 4 Pu 2.91-2.98
Pt  0.1624  0.8376  0.7500  8 Pt 2.84-2.99, 4 Pu 2.91-2.98
Pt  0.3248  0.1624  0.2500  8 Pt 2.84-2.99, 4 Pu 2.91-2.98
Pt  0.6752  0.8376  0.7500  8 Pt 2.84-2.99, 4 Pu 2.91-2.98
Pt  0.8376  0.1624  0.2500  8 Pt 2.84-2.99, 4 Pu 2.91-2.98
Pt  0.8376  0.6752  0.2500  8 Pt 2.84-2.99, 4 Pu 2.91-2.98

Properties
Space group: No. 194
Energy of formation, eV per formula unit: -3.537
Size of the total moment, Bohr magnetons per cell: 8.60

Entry 2:
A plane-wave DFT calculation with r²SCAN was carried out for a relaxed structure of PuSi2Pt2.

a b c (Å): 4.2122 4.2122 9.8411
angles (deg): 90.00 90.00 90.00
With the nearest neighbours (Å) after each atom.
Fractional coordinates of all 10 atoms:
Pu  0.2500  0.2500  0.2473  8 Si 3.20-3.22, 8 Pt 3.23-3.26
Pu  0.7500  0.7500  0.7527  8 Si 3.20-3.22, 8 Pt 3.23-3.26
Si  0.2500  0.2500  0.6350  5 Pt 2.40-2.49
Si  0.2500  0.7500  0.0000  4 Pt 2.42
Si  0.7500  0.2500  0.0000  4 Pt 2.42
Si  0.7500  0.7500  0.3650  5 Pt 2.40-2.49
Pt  0.2500  0.2500  0.8785  5 Si 2.40-2.42
Pt  0.2500  0.7500  0.5000  4 Si 2.49
Pt  0.7500  0.2500  0.5000  4 Si 2.49
Pt  0.7500  0.7500  0.1215  5 Si 2.40-2.42

Properties
Space group: No. 129
Energy of formation, eV per formula unit: -5.370
Size of the total moment, Bohr magnetons per cell: 10.37

Entry 3:
A plane-wave DFT calculation with r²SCAN was carried out for a relaxed structure of Rb2PtSe2.

a b c (Å): 6.6430 6.6430 6.6430
angles (deg): 146.80 110.01 79.69
With the nearest neighbours (Å) after each atom.
Fractional coordinates of all 5 atoms:
Rb  0.1973  0.1973  0.0000  6 Se 3.49-3.52, 2 Pt 3.62, 2 Rb 3.80
Rb  0.8027  0.8027  0.0000  6 Se 3.49-3.52, 2 Pt 3.62, 2 Rb 3.80
Pt  0.5000  0.0000  0.5000  4 Se 2.50
Se  0.2867  0.5000  0.7867  2 Pt 2.50
Se  0.7133  0.5000  0.2133  2 Pt 2.50

Properties
Space group: No. 71
Energy of formation, eV per formula unit: -5.311
Size of the total moment, Bohr magnetons per cell: 0.00

Entry 4:
A plane-wave DFT calculation with r²SCAN was carried out for a relaxed structure of RbPt2Se3.

a b c (Å): 8.0765 8.0765 8.0765
angles (deg): 54.83 54.83 54.83
With the nearest neighbours (Å) after each atom.
Fractional coordinates of all 12 atoms:
Rb  0.1997  0.1997  0.1997  3 Pt 3.48, 3 Se 3.60
Rb  0.8003  0.8003  0.8003  3 Pt 3.48, 3 Se 3.60
Pt  0.0000  0.0000  0.0000  6 Se 2.53
Pt  0.0000  0.5000  0.5000  4 Se 2.46
Pt  0.5000  0.0000  0.5000  4 Se 2.46
Pt  0.5000  0.5000  0.0000  4 Se 2.46
Se  0.2315  0.2315  0.7188  3 Pt 2.46-2.53
Se  0.2315  0.7188  0.2315  3 Pt 2.46-2.53
Se  0.2812  0.7685  0.7685  3 Pt 2.46-2.53
Se  0.7188  0.2315  0.2315  3 Pt 2.46-2.53
Se  0.7685  0.2812  0.7685  3 Pt 2.46-2.53
Se  0.7685  0.7685  0.2812  3 Pt 2.46-2.53

Properties
Space group: No. 166
Energy of formation, eV per formula unit: -4.597
Size of the total moment, Bohr magnetons per cell: 0.00

Entry 5:
A plane-wave DFT calculation with r²SCAN was carried out for a relaxed structure of Re3Pt.

a b c (Å): 5.5641 5.5641 4.4131
angles (deg): 90.00 90.00 120.00
With the nearest neighbours (Å) after each atom.
Fractional coordinates of all 8 atoms:
Re  0.1588  0.3177  0.2500  8 Re 2.65-2.91, 4 Pt 2.77-2.78
Re  0.1588  0.8412  0.2500  8 Re 2.65-2.91, 4 Pt 2.77-2.78
Re  0.3177  0.1588  0.7500  8 Re 2.65-2.91, 4 Pt 2.77-2.78
Re  0.6823  0.8412  0.2500  8 Re 2.65-2.91, 4 Pt 2.77-2.78
Re  0.8412  0.1588  0.7500  8 Re 2.65-2.91, 4 Pt 2.77-2.78
Re  0.8412  0.6823  0.7500  8 Re 2.65-2.91, 4 Pt 2.77-2.78
Pt  0.3333  0.6667  0.7500  12 Re 2.77-2.78
Pt  0.6667  0.3333  0.2500  12 Re 2.77-2.78

Properties
Space group: No. 194
Energy of formation, eV per formula unit: -1.044
Size of the total moment, Bohr magnetons per cell: 0.00

Entry 6:
A plane-wave DFT calculation with r²SCAN was carried out for a relaxed structure of Sc2RuPt.

a b c (Å): 4.5715 4.5715 4.5715
angles (deg): 60.00 60.00 60.00
With the nearest neighbours (Å) after each atom.
Fractional coordinates of all 4 atoms:
Sc  0.2500  0.2500  0.2500  4 Pt 2.80, 4 Ru 2.80
Sc  0.7500  0.7500  0.7500  4 Pt 2.80, 4 Ru 2.80
Ru  0.0000  0.0000  0.0000  8 Sc 2.80
Pt  0.5000  0.5000  0.5000  8 Sc 2.80

Properties
Space group: No. 225
Energy of formation, eV per formula unit: -4.076
Size of the total moment, Bohr magnetons per cell: 0.00

Entry 7:
A plane-wave DFT calculation with r²SCAN was carried out for a relaxed structure of PtS.

a b c (Å): 3.4945 3.4945 6.1163
angles (deg): 90.00 90.00 90.00
With the nearest neighbours (Å) after each atom.
Fractional coordinates of all 4 atoms:
Pt  0.0000  0.5000  0.0000  4 S 2.32
Pt  0.5000  0.0000  0.5000  4 S 2.32
S  0.0000  0.0000  0.2500  4 Pt 2.32
S  0.0000  0.0000  0.7500  4 Pt 2.32

Properties
Space group: No. 131
Energy of formation, eV per formula unit: -1.067
Size of the total moment, Bohr magnetons per cell: 0.00

Entry 8:
A plane-wave DFT calculation with r²SCAN was carried out for a relaxed structure of PtS.

a b c (Å): 6.4520 6.4520 6.6185
angles (deg): 90.00 90.00 90.00
With the nearest neighbours (Å) after each atom.
Fractional coordinates of all 16 atoms:
Pt  0.0000  0.0000  0.2500  4 S 2.35
Pt  0.0000  0.0000  0.7500  4 S 2.35
Pt  0.0000  0.5000  0.0000  4 S 2.32
Pt  0.2559  0.4715  0.5000  4 S 2.34-2.36
Pt  0.4715  0.7441  0.0000  4 S 2.34-2.36
Pt  0.5000  0.0000  0.5000  4 S 2.32
Pt  0.5285  0.2559  0.0000  4 S 2.34-2.36
Pt  0.7441  0.5285  0.5000  4 S 2.34-2.36
S  0.1940  0.6929  0.2267  4 Pt 2.32-2.36
S  0.1940  0.6929  0.7733  4 Pt 2.32-2.36
S  0.3071  0.1940  0.2733  4 Pt 2.32-2.36
S  0.3071  0.1940  0.7267  4 Pt 2.32-2.36
S  0.6929  0.8060  0.2733  4 Pt 2.32-2.36
S  0.6929  0.8060  0.7267  4 Pt 2.32-2.36
S  0.8060  0.3071  0.2267  4 Pt 2.32-2.36
S  0.8060  0.3071  0.7733  4 Pt 2.32-2.36

Properties
Space group: No. 84
Energy of formation, eV per formula unit: -0.997
Size of the total moment, Bohr magnetons per cell: 0.00